Below is Li3FeNi2O6 after structural relaxation, with properties calculated at the GGA+U level.

Structure (POSCAR):
```
Li3FeNi2O6
1.0
1.707 -6.255 -1.629
4.288 -5.010 -1.100
0.261 -2.742 5.178
Li Fe Ni O
3 1 2 6
Cartesian
3.128 -7.003 1.224
1.054 -2.366 0.430
5.202 -11.640 2.019
2.997 -5.633 -1.364
5.087 -10.311 -0.544
1.169 -3.696 2.993
4.203 -9.923 2.852
2.053 -4.084 -0.403
0.203 -2.099 3.949
2.121 -5.258 2.028
6.053 -11.907 -1.500
4.135 -8.749 0.420
```

**Total magnetization**: 7.00 μB/f.u.
**ρ**: 4.4 g/cm³
**ΔH_f (0 K)**: -1.634 eV/atom

***

Below is Li2Fe2NiO6 after structural relaxation, with properties calculated at the GGA+U level.

Structure (POSCAR):
```
Li2Fe2NiO6
1.0
2.241 -3.504 6.477
0.929 5.035 5.748
-5.852 -0.891 0.091
Li Fe Ni O
6 6 3 18
Cartesian
-1.134 -1.160 6.243
-1.586 1.786 5.991
0.517 -2.475 4.332
-0.355 3.199 3.848
-3.174 3.080 8.027
-2.314 -2.512 8.504
-5.840 -0.888 0.105
0.150 0.720 8.166
-4.042 -1.535 6.302
-4.475 1.282 6.061
-1.214 -1.450 2.209
-1.647 1.367 1.969
-1.472 2.065 10.129
-2.845 -0.084 4.135
-1.047 -0.703 10.366
0.169 0.877 9.963
1.658 -0.536 8.171
1.214 2.351 7.924
-2.688 0.486 10.532
-0.869 -0.937 8.265
-1.319 1.991 8.015
0.746 -2.245 6.486
0.269 0.576 6.261
-0.122 3.407 6.003
-2.579 -2.735 6.482
-2.986 0.067 6.158
-3.441 2.876 6.003
-1.222 -1.362 4.041
-1.675 1.585 3.790
-0.106 0.147 1.919
-4.014 -1.753 4.481
-4.467 1.194 4.229
-2.703 -0.235 2.112
```

**Total magnetization**: 10.00 μB/f.u.
**ρ**: 4.4 g/cm³
**ΔH_f (0 K)**: -1.526 eV/atom